Entry from Materials Project: a relaxed Mn15Br6O20 crystal (r²SCAN).

POSCAR file:
```
Mn15Br6O20
1.0
6.301 -6.756 -0.079
-1.357 -7.521 -5.190
5.166 -1.411 -7.528
O Mn Br
20 15 6
direct
0.401 0.099 0.099
0.901 0.599 0.599
0.900 0.900 0.300
0.900 0.300 0.900
0.901 0.599 0.901
0.100 0.100 0.100
0.100 0.100 0.700
0.401 0.099 0.401
0.700 0.100 0.100
0.599 0.599 0.901
0.599 0.901 0.599
0.599 0.901 0.901
0.099 0.099 0.401
0.100 0.700 0.100
0.099 0.401 0.401
0.900 0.900 0.900
0.300 0.900 0.900
0.401 0.401 0.099
0.901 0.901 0.599
0.099 0.401 0.099
0.650 0.350 0.000
0.350 0.000 0.650
0.000 0.650 0.350
0.000 0.350 0.000
0.650 0.000 0.000
0.750 0.750 0.750
0.650 0.000 0.350
0.000 0.650 0.000
0.000 0.000 0.350
0.350 0.650 0.000
0.250 0.250 0.250
0.000 0.000 0.000
0.350 0.000 0.000
0.000 0.000 0.650
0.000 0.350 0.650
0.301 0.699 0.301
0.699 0.699 0.301
0.699 0.301 0.699
0.301 0.699 0.699
0.301 0.301 0.699
0.699 0.301 0.301
```

Summary:
The volume comes out at 557.5 Å³/f.u. The crystal system is cubic. The energy of formation is -1.944 eV/atom. Its symmetry is Fm-3m. As for the calculated total energy: -498.96 eV/cell.